YUAs2: relaxed, r2SCAN.

Cell lengths 4.1312, 4.1312, 5.8250 Å; angles 90.00, 90.00, 90.00 degrees
Positions (direct):
Y 0.0000 0.0000 0.0000
U 0.5000 0.5000 0.5000
As 0.0000 0.0000 0.5000
As 0.5000 0.5000 0.0000

ΔH_f (0 K) ... -142 kJ per mole of atoms